The following is a GGA-PBE calculation of a relaxed structure of Cr22WC6, from the Materials Project database.

The space group is Fm-3m (No. 225) and the conventional cell measures 10.599, 10.599 and 10.599 Å, with angles of 90.00, 90.00 and 90.00 degrees. Symmetry generates all atoms from Cr at (0.000, 0.173, 0.173), Cr at (0.119, 0.119, 0.381), Cr at (0.250, 0.250, 0.250), W at (0.000, 0.000, 0.000) and C at (0.000, 0.000, 0.277).

For the total magnetization, the calculation gives 0.0001 μB/atom. The formation energy comes out at -0.036 eV/atom. The raw total energy comes out at -9.72 eV per atom.